CaBiO3 | PBE | relaxed

The value obtained for the formation energy is -2.24 eV/atom.

```
CaBiO3
1.0
2.970 1.714 5.125
-2.970 1.714 5.125
0.000 -3.429 5.125
Ca Bi O
2 2 6
direct
0.138 0.138 0.138
0.862 0.862 0.862
0.353 0.353 0.353
0.647 0.647 0.647
0.040 0.733 0.463
0.267 0.537 0.960
0.463 0.040 0.733
0.537 0.960 0.267
0.733 0.463 0.040
0.960 0.267 0.537
```

***

Te2MoW2Se4 | PBE | relaxed

The value obtained for the formation energy is -0.65 eV/atom.

```
Te2MoW2Se4
1.0
3.392 0.000 0.000
-1.696 2.938 0.000
0.000 0.000 31.474
Te Mo W Se
2 1 2 4
direct
0.000 0.000 0.060
0.000 0.000 0.940
0.333 0.667 0.000
0.000 0.000 0.231
0.000 0.000 0.769
0.333 0.667 0.179
0.333 0.667 0.284
0.333 0.667 0.716
0.333 0.667 0.821
```

***

Ti9Fe2B8Ru18 | PBE | relaxed

The value obtained for the formation energy is -0.55 eV/atom.

```
Ti9Fe2B8Ru18
1.0
17.596 0.000 0.000
0.000 17.596 0.000
0.000 0.000 2.997
Ti Fe B Ru
18 4 16 36
direct
0.000 0.000 0.000
0.036 0.188 0.000
0.172 0.328 0.000
0.188 0.964 0.000
0.196 0.696 0.000
0.304 0.196 0.000
0.312 0.464 0.000
0.328 0.828 0.000
0.464 0.688 0.000
0.500 0.500 0.000
0.536 0.312 0.000
0.672 0.172 0.000
0.688 0.536 0.000
0.696 0.804 0.000
0.804 0.304 0.000
0.812 0.036 0.000
0.828 0.672 0.000
0.964 0.812 0.000
0.048 0.452 0.000
0.452 0.952 0.000
0.548 0.048 0.000
0.952 0.548 0.000
0.037 0.665 0.000
0.121 0.830 0.000
0.165 0.537 0.000
0.170 0.121 0.000
0.330 0.621 0.000
0.335 0.037 0.000
0.379 0.330 0.000
0.463 0.165 0.000
0.537 0.835 0.000
0.621 0.670 0.000
0.665 0.963 0.000
0.670 0.379 0.000
0.830 0.879 0.000
0.835 0.463 0.000
0.879 0.170 0.000
0.963 0.335 0.000
0.052 0.330 0.500
0.069 0.902 0.500
0.081 0.746 0.500
0.083 0.583 0.500
0.098 0.069 0.500
0.169 0.211 0.500
0.170 0.448 0.500
0.211 0.831 0.500
0.246 0.581 0.500
0.254 0.081 0.500
0.289 0.331 0.500
0.330 0.948 0.500
0.331 0.711 0.500
0.402 0.569 0.500
0.417 0.083 0.500
0.419 0.246 0.500
0.431 0.402 0.500
0.448 0.830 0.500
0.552 0.170 0.500
0.569 0.598 0.500
0.581 0.754 0.500
0.583 0.917 0.500
0.598 0.431 0.500
0.669 0.289 0.500
0.670 0.052 0.500
0.711 0.669 0.500
0.746 0.919 0.500
0.754 0.419 0.500
0.789 0.169 0.500
0.830 0.552 0.500
0.831 0.789 0.500
0.902 0.931 0.500
0.917 0.417 0.500
0.919 0.254 0.500
0.931 0.098 0.500
0.948 0.670 0.500
```

***

Li2AgF4 | PBE | relaxed

The value obtained for the formation energy is -2.39 eV/atom.

```
Li2AgF4
1.0
5.653 -2.998 0.000
5.653 2.998 0.000
-1.453 0.000 4.927
Li Ag F
4 2 8
direct
0.118 0.882 0.750
0.373 0.627 0.250
0.627 0.373 0.750
0.882 0.118 0.250
0.000 0.500 0.500
0.500 0.000 0.000
0.025 0.770 0.361
0.230 0.975 0.139
0.268 0.517 0.832
0.483 0.732 0.668
0.517 0.268 0.332
0.732 0.483 0.168
0.770 0.025 0.861
0.975 0.230 0.639
```

***

Pr2MoC2 | PBE | relaxed

The value obtained for the formation energy is -0.15 eV/atom.

```
Pr2MoC2
1.0
5.863 0.000 0.000
0.000 5.863 0.000
0.000 0.000 10.510
Pr Mo C
8 4 8
direct
0.197 0.197 0.155
0.197 0.197 0.845
0.303 0.697 0.345
0.303 0.697 0.655
0.697 0.303 0.345
0.697 0.303 0.655
0.803 0.803 0.155
0.803 0.803 0.845
0.175 0.175 0.500
0.325 0.675 0.000
0.675 0.325 0.000
0.825 0.825 0.500
0.000 0.000 0.358
0.000 0.000 0.642
0.000 0.500 0.000
0.000 0.500 0.500
0.500 0.000 0.000
0.500 0.000 0.500
0.500 0.500 0.142
0.500 0.500 0.858
```

***

Na3TaGaSi2PO12 | PBE | relaxed

The value obtained for the formation energy is -2.82 eV/atom.

```
Na3TaGaSi2PO12
1.0
8.921 0.034 -0.060
-4.431 7.743 0.060
-0.153 0.088 22.298
O Na Si Ta Ga P
72 18 12 6 6 6
direct
0.850 0.498 0.423
0.698 0.534 0.524
0.183 0.165 0.089
0.163 0.455 0.976
0.169 0.484 0.256
0.816 0.974 0.411
0.516 0.831 0.756
0.364 0.867 0.857
0.631 0.496 0.641
0.171 0.703 0.474
0.637 0.122 0.142
0.969 0.167 0.589
0.878 0.363 0.642
0.971 0.789 0.809
0.825 0.307 0.243
0.133 0.636 0.357
0.303 0.834 0.256
0.169 0.970 0.197
0.483 0.307 0.744
0.297 0.829 0.974
0.832 0.533 0.025
0.142 0.489 0.577
0.504 0.369 0.141
0.027 0.841 0.410
0.030 0.831 0.697
0.496 0.122 0.643
0.854 0.366 0.923
0.211 0.029 0.309
0.150 0.641 0.078
0.964 0.162 0.307
0.187 0.033 0.590
0.466 0.302 0.024
0.503 0.636 0.863
0.031 0.200 0.190
0.502 0.150 0.923
0.165 0.200 0.692
0.836 0.303 0.530
0.360 0.508 0.077
0.878 0.504 0.143
0.500 0.364 0.422
0.211 0.171 0.810
0.467 0.168 0.525
0.838 0.036 0.807
0.359 0.850 0.578
0.800 0.969 0.690
0.829 0.789 0.310
0.693 0.517 0.244
0.511 0.858 0.077
0.159 0.973 0.910
0.697 0.164 0.030
0.178 0.191 0.410
0.134 0.502 0.858
0.364 0.497 0.363
0.693 0.175 0.743
0.833 0.031 0.089
0.300 0.479 0.757
0.636 0.500 0.922
0.544 0.696 0.976
0.304 0.456 0.476
0.845 0.524 0.744
0.492 0.640 0.577
0.967 0.813 0.090
0.800 0.835 0.192
0.545 0.837 0.476
0.026 0.184 0.911
0.166 0.697 0.756
0.835 0.817 0.589
0.476 0.155 0.244
0.634 0.146 0.423
0.498 0.866 0.358
0.809 0.822 0.910
0.521 0.700 0.257
0.998 0.996 0.495
0.665 0.329 0.828
0.656 0.960 0.582
0.323 0.293 0.915
0.657 0.691 0.083
0.373 0.010 0.749
0.309 0.343 0.583
0.990 0.627 0.249
0.004 0.002 0.995
0.331 0.663 0.162
0.991 0.357 0.749
0.337 0.669 0.662
0.643 0.009 0.249
0.040 0.344 0.082
0.324 0.024 0.416
0.707 0.677 0.415
0.976 0.676 0.916
0.671 0.335 0.328
0.375 0.038 0.584
0.709 0.705 0.251
0.962 0.625 0.084
0.046 0.669 0.417
0.629 0.958 0.418
0.664 0.621 0.584
0.713 0.003 0.751
0.997 0.287 0.251
0.379 0.336 0.084
0.331 0.954 0.917
0.295 0.291 0.751
0.042 0.371 0.918
0.331 0.662 0.313
0.671 0.336 0.480
0.338 0.669 0.813
0.005 0.003 0.146
0.664 0.329 0.980
0.997 0.995 0.646
0.320 0.661 0.018
0.672 0.347 0.185
0.986 0.995 0.352
0.339 0.680 0.518
0.005 0.014 0.852
0.653 0.328 0.685
0.293 0.007 0.253
0.660 0.040 0.086
0.326 0.374 0.420
0.993 0.707 0.753
0.626 0.674 0.920
0.960 0.340 0.586
```

***

AcTlAg2 | PBE | relaxed

The value obtained for the formation energy is -0.23 eV/atom.

```
AcTlAg2
1.0
0.000 3.755 3.755
3.755 0.000 3.755
3.755 3.755 0.000
Ac Tl Ag
1 1 2
direct
0.000 0.000 0.000
0.500 0.500 0.500
0.250 0.250 0.250
0.750 0.750 0.750
```

***

HoPPd | PBE | relaxed

The value obtained for the formation energy is -1.27 eV/atom.

```
HoPPd
1.0
6.896 0.000 0.000
0.000 4.003 0.000
0.000 0.000 7.744
Ho P Pd
4 4 4
direct
0.029 0.250 0.187
0.471 0.750 0.687
0.529 0.250 0.313
0.971 0.750 0.813
0.247 0.750 0.377
0.253 0.250 0.877
0.747 0.750 0.123
0.753 0.250 0.623
0.148 0.250 0.561
0.352 0.750 0.061
0.648 0.250 0.939
0.852 0.750 0.439
```

***

CsTh2Se6 | PBE | relaxed

The value obtained for the formation energy is -1.79 eV/atom.

```
CsTh2Se6
1.0
-2.125 2.787 12.181
2.125 -2.787 12.181
2.125 2.787 -12.181
Cs Th Se
1 2 6
direct
0.000 0.000 0.000
0.184 0.184 0.000
0.816 0.816 0.000
0.131 0.384 0.747
0.270 0.770 0.500
0.363 0.616 0.747
0.637 0.384 0.253
0.730 0.230 0.500
0.869 0.616 0.253
```